This record from Materials Project describes crystalline Mg14BC at its relaxed geometry. The functional is PBE-GGA.

The structure in CIF format:
```
data_Mg14BC
_cell_length_a 9.4771
_cell_length_b 6.2989
_cell_length_c 6.2989
_cell_angle_alpha 63.25
_cell_angle_beta 90.00
_cell_angle_gamma 90.00
_space_group_name_H-M_alt 'P 1'
_space_group_IT_number 1
_space_group_name_Hall 'P 1'
loop_
_atom_site_label
_atom_site_fract_x
_atom_site_fract_y
_atom_site_fract_z
Mg1 0.0000 0.0000 0.0000
Mg2 0.0000 0.4914 0.9846
Mg3 0.0000 0.4988 0.4988
Mg4 0.0000 0.9846 0.4914
Mg5 0.2471 0.3173 0.3173
Mg6 0.2577 0.8222 0.8222
Mg7 0.3450 0.3172 0.7976
Mg8 0.3450 0.7976 0.3172
Mg9 0.5000 0.0739 0.5508
Mg10 0.5000 0.5508 0.0739
Mg11 0.6550 0.3172 0.7976
Mg12 0.6550 0.7976 0.3172
Mg13 0.7423 0.8222 0.8222
Mg14 0.7529 0.3173 0.3173
B1 0.5000 0.9625 0.9625
C1 0.5000 0.4619 0.4619
```

Results
E above lowest polymorph ... 0 meV per atom
Total moment ... 0.0 μB per cell
Electronic total energy ... -33.8 eV for the cell shown
E_form ... 281 meV per atom

This record from Materials Project describes crystalline Mg6BC at its relaxed geometry. The functional is PBE-GGA.

The structure in CIF format:
```
data_Mg6BC
_cell_length_a 3.8346
_cell_length_b 6.3537
_cell_length_c 6.3537
_cell_angle_alpha 78.06
_cell_angle_beta 90.00
_cell_angle_gamma 90.00
_space_group_name_H-M_alt 'P 1'
_space_group_IT_number 1
_space_group_name_Hall 'P 1'
loop_
_atom_site_label
_atom_site_fract_x
_atom_site_fract_y
_atom_site_fract_z
Mg1 0.0000 0.0000 0.0000
Mg2 0.0000 0.4829 0.4829
Mg3 0.0000 0.4967 0.9641
Mg4 0.0000 0.9641 0.4967
Mg5 0.5000 0.2414 0.7504
Mg6 0.5000 0.7504 0.2414
B1 0.5000 0.6394 0.6394
C1 0.5000 0.0986 0.0986
```

Results
E above lowest polymorph ... 263 meV per atom
Total moment ... 0.0 μB per cell
Electronic total energy ... -20.4 eV for the cell shown
E_form ... 636 meV per atom

This record from Materials Project describes crystalline Mg14BC at its relaxed geometry. The functional is PBE-GGA.

The structure in CIF format:
```
data_Mg14BC
_cell_length_a 6.0990
_cell_length_b 6.0990
_cell_length_c 9.8582
_cell_angle_alpha 90.00
_cell_angle_beta 90.00
_cell_angle_gamma 120.00
_space_group_name_H-M_alt 'P 1'
_space_group_IT_number 1
_space_group_name_Hall 'P 1'
loop_
_atom_site_label
_atom_site_fract_x
_atom_site_fract_y
_atom_site_fract_z
Mg1 0.0000 0.0000 0.2498
Mg2 0.0000 0.0000 0.7502
Mg3 0.0121 0.5060 0.2491
Mg4 0.0121 0.5060 0.7509
Mg5 0.3319 0.1659 0.0000
Mg6 0.3329 0.1665 0.5000
Mg7 0.4940 0.5060 0.2491
Mg8 0.4940 0.5060 0.7509
Mg9 0.4940 0.9879 0.2491
Mg10 0.4940 0.9879 0.7509
Mg11 0.8341 0.1659 0.0000
Mg12 0.8335 0.1665 0.5000
Mg13 0.8335 0.6671 0.5000
Mg14 0.8341 0.6681 0.0000
B1 0.3333 0.6667 0.5000
C1 0.3333 0.6667 0.0000
```

Results
E above lowest polymorph ... 160 meV per atom
Total moment ... 0.0 μB per cell
Electronic total energy ... -31.3 eV for the cell shown
E_form ... 441 meV per atom

This record from Materials Project describes crystalline MgB2C2 at its relaxed geometry. The functional is PBE-GGA.

The structure in CIF format:
```
data_MgB2C2
_cell_length_a 4.6284
_cell_length_b 7.2534
_cell_length_c 2.7753
_cell_angle_alpha 90.00
_cell_angle_beta 90.00
_cell_angle_gamma 90.00
_space_group_name_H-M_alt 'P 1'
_space_group_IT_number 1
_space_group_name_Hall 'P 1'
loop_
_atom_site_label
_atom_site_fract_x
_atom_site_fract_y
_atom_site_fract_z
Mg1 0.0000 0.0000 0.0000
Mg2 0.5000 0.5000 0.5000
B1 0.1153 0.2703 0.5000
B2 0.3847 0.7703 0.0000
B3 0.6153 0.2297 0.0000
B4 0.8847 0.7297 0.5000
C1 0.2156 0.7799 0.5000
C2 0.2844 0.2799 0.0000
C3 0.7156 0.7201 0.0000
C4 0.7844 0.2201 0.5000
```

Results
Electronic total energy ... -68.2 eV for the cell shown
E_form ... -136 meV per atom

This record from Materials Project describes crystalline Mg6BC at its relaxed geometry. The functional is PBE-GGA.

The structure in CIF format:
```
data_Mg6BC
_cell_length_a 3.3968
_cell_length_b 7.7123
_cell_length_c 10.3315
_cell_angle_alpha 90.00
_cell_angle_beta 90.00
_cell_angle_gamma 90.00
_space_group_name_H-M_alt 'P 1'
_space_group_IT_number 1
_space_group_name_Hall 'P 1'
loop_
_atom_site_label
_atom_site_fract_x
_atom_site_fract_y
_atom_site_fract_z
Mg1 0.5000 0.1867 0.8802
Mg2 0.0000 0.8207 0.6135
Mg3 0.5000 0.0000 0.1348
Mg4 0.0000 0.5000 0.8779
Mg5 0.5000 0.8133 0.8802
Mg6 0.5000 0.3133 0.3802
Mg7 0.5000 0.5000 0.6348
Mg8 0.0000 0.3207 0.1135
Mg9 0.0000 0.6793 0.1135
Mg10 0.5000 0.6867 0.3802
Mg11 0.0000 0.1793 0.6135
Mg12 0.0000 0.0000 0.3779
B1 0.0000 0.0000 0.9733
B2 0.0000 0.5000 0.4733
C1 0.5000 0.5000 0.0267
C2 0.5000 0.0000 0.5267
```

Results
E above lowest polymorph ... 0 meV per atom
Total moment ... 0.0 μB per cell
Electronic total energy ... -45.1 eV for the cell shown
E_form ... 372 meV per atom

This record from Materials Project describes crystalline Mg14BCO16 at its relaxed geometry. The functional is PBE-GGA.

The structure in CIF format:
```
data_Mg14BCO16
_cell_length_a 8.5044
_cell_length_b 8.5044
_cell_length_c 4.1999
_cell_angle_alpha 90.00
_cell_angle_beta 90.00
_cell_angle_gamma 90.00
_space_group_name_H-M_alt 'P 1'
_space_group_IT_number 1
_space_group_name_Hall 'P 1'
loop_
_atom_site_label
_atom_site_fract_x
_atom_site_fract_y
_atom_site_fract_z
Mg1 0.0000 0.2413 0.0000
Mg2 0.0000 0.5000 0.5000
Mg3 0.0000 0.7587 0.0000
Mg4 0.2413 0.0000 0.0000
Mg5 0.2525 0.2525 0.5000
Mg6 0.2529 0.5000 0.0000
Mg7 0.2525 0.7475 0.5000
Mg8 0.5000 0.0000 0.5000
Mg9 0.5000 0.2529 0.0000
Mg10 0.5000 0.7471 0.0000
Mg11 0.7475 0.2525 0.5000
Mg12 0.7471 0.5000 0.0000
Mg13 0.7475 0.7475 0.5000
Mg14 0.7587 0.0000 0.0000
B1 0.0000 0.0000 0.5000
C1 0.5000 0.5000 0.5000
O1 0.0000 0.0000 0.0000
O2 0.0000 0.2060 0.5000
O3 0.0000 0.5000 0.0000
O4 0.0000 0.7940 0.5000
O5 0.2060 0.0000 0.5000
O6 0.2269 0.5000 0.5000
O7 0.2496 0.2496 0.0000
O8 0.2496 0.7504 0.0000
O9 0.5000 0.0000 0.0000
O10 0.5000 0.2269 0.5000
O11 0.5000 0.5000 0.0000
O12 0.5000 0.7731 0.5000
O13 0.7504 0.2496 0.0000
O14 0.7504 0.7504 0.0000
O15 0.7731 0.5000 0.5000
O16 0.7940 0.0000 0.5000
```

Results
E above lowest polymorph ... 101 meV per atom
Total moment ... 1.0 μB per cell
Electronic total energy ... -187.3 eV for the cell shown
E_form ... -2527 meV per atom

> Which of these has the lowest electronic total energy?

Mg14BCO16